First-principles (GGA-PBE) data for a relaxed Na4Bi2O5 crystal, as listed in the Materials Project database.

Calculated values
distance to the lowest polymorph of the same formula: 0.076 eV per atom
formation energy from the elements: -17.94 eV per formula unit
E_tot: -4.76 eV per atom
SG: Pnna, No. 52

a = 14.800 Å, b = 5.659 Å, c = 9.865 Å
α = 90.00°, β = 90.00°, γ = 90.00°
Sites, in units of the cell vectors:
Na 0.024 0.018 0.143
Na 0.024 0.482 0.357
Na 0.194 0.250 0.250
Na 0.250 0.000 0.922
Na 0.250 0.500 0.578
Na 0.306 0.750 0.250
Na 0.476 0.518 0.357
Na 0.476 0.982 0.143
Na 0.524 0.018 0.857
Na 0.524 0.482 0.643
Na 0.694 0.250 0.750
Na 0.750 0.000 0.078
Na 0.750 0.500 0.422
Na 0.806 0.750 0.750
Na 0.976 0.518 0.643
Na 0.976 0.982 0.857
Bi 0.117 0.530 0.955
Bi 0.117 0.970 0.545
Bi 0.383 0.030 0.545
Bi 0.383 0.470 0.955
Bi 0.617 0.530 0.045
Bi 0.617 0.970 0.455
Bi 0.883 0.030 0.455
Bi 0.883 0.470 0.045
O 0.046 0.053 0.368
O 0.046 0.447 0.132
O 0.112 0.602 0.535
O 0.112 0.898 0.965
O 0.250 0.000 0.426
O 0.250 0.500 0.074
O 0.388 0.102 0.965
O 0.388 0.398 0.535
O 0.454 0.553 0.132
O 0.454 0.947 0.368
O 0.546 0.053 0.632
O 0.546 0.447 0.868
O 0.612 0.602 0.465
O 0.612 0.898 0.035
O 0.750 0.000 0.574
O 0.750 0.500 0.926
O 0.888 0.102 0.035
O 0.888 0.398 0.465
O 0.954 0.553 0.868
O 0.954 0.947 0.632

---

First-principles (GGA-PBE) data for a relaxed Na8BiO3 crystal, as listed in the Materials Project database.

Calculated values
formation energy from the elements: -10.69 eV per formula unit
E_tot: -3.16 eV per atom
SG: Pm-3m, No. 221

a = 6.188 Å, b = 6.188 Å, c = 6.188 Å
α = 90.00°, β = 90.00°, γ = 90.00°
Sites, in units of the cell vectors:
Na 0.228 0.228 0.228
Na 0.228 0.228 0.772
Na 0.228 0.772 0.228
Na 0.228 0.772 0.772
Na 0.772 0.228 0.228
Na 0.772 0.228 0.772
Na 0.772 0.772 0.228
Na 0.772 0.772 0.772
Bi 0.500 0.500 0.500
O 0.000 0.000 0.500
O 0.000 0.500 0.000
O 0.500 0.000 0.000

---

First-principles (GGA-PBE) data for a relaxed Na2BiO3 crystal, as listed in the Materials Project database.

Calculated values
formation energy from the elements: -10.37 eV per formula unit
E_tot: -4.95 eV per atom
SG: C2/c, No. 15

a = 5.879 Å, b = 5.879 Å, c = 5.881 Å
α = 100.87°, β = 100.87°, γ = 117.92°
Sites, in units of the cell vectors:
Na 0.082 0.918 0.750
Na 0.245 0.755 0.250
Na 0.755 0.245 0.750
Na 0.918 0.082 0.250
Bi 0.409 0.591 0.750
Bi 0.591 0.409 0.250
O 0.000 0.500 0.500
O 0.219 0.355 0.998
O 0.355 0.219 0.498
O 0.500 0.000 0.000
O 0.645 0.781 0.502
O 0.781 0.645 0.002